## Al2B3HO8 (meta-GGA r2SCAN)

Data for a relaxed Al2B3HO8 crystal.

Calculated values
The energy relative to the elements is -261 kJ/mol of atoms. The space group is Pnma, No. 62.

Lattice parameters (Å, degrees): 7.4704 10.5251 8.8124 90.00 90.00 90.00
Element x y z (fractional)
Al 0.0576 0.1153 0.0668
Al 0.0576 0.3847 0.0668
Al 0.4424 0.6153 0.5668
Al 0.4424 0.8847 0.5668
Al 0.5576 0.1153 0.4332
Al 0.5576 0.3847 0.4332
Al 0.9424 0.6153 0.9332
Al 0.9424 0.8847 0.9332
B 0.2287 0.7500 0.3375
B 0.2488 0.0182 0.7988
B 0.2488 0.4818 0.7988
B 0.2512 0.5182 0.2988
B 0.2512 0.9818 0.2988
B 0.2713 0.2500 0.8375
B 0.7287 0.7500 0.1625
B 0.7488 0.0182 0.7012
B 0.7488 0.4818 0.7012
B 0.7512 0.5182 0.2012
B 0.7512 0.9818 0.2012
B 0.7713 0.2500 0.6625
H 0.1805 0.7500 0.8137
H 0.3195 0.2500 0.3137
H 0.6805 0.7500 0.6863
H 0.8195 0.2500 0.1863
O 0.0794 0.7500 0.8825
O 0.1210 0.0067 0.9125
O 0.1210 0.4933 0.9125
O 0.1766 0.2500 0.9701
O 0.1796 0.6382 0.2691
O 0.1796 0.8618 0.2691
O 0.2009 0.0831 0.2189
O 0.2009 0.4169 0.2189
O 0.2991 0.5831 0.7189
O 0.2991 0.9169 0.7189
O 0.3204 0.1382 0.7691
O 0.3204 0.3618 0.7691
O 0.3234 0.7500 0.4701
O 0.3790 0.5067 0.4125
O 0.3790 0.9933 0.4125
O 0.4206 0.2500 0.3825
O 0.5794 0.7500 0.6175
O 0.6210 0.0067 0.5875
O 0.6210 0.4933 0.5875
O 0.6766 0.2500 0.5299
O 0.6796 0.6382 0.2309
O 0.6796 0.8618 0.2309
O 0.7009 0.0831 0.2811
O 0.7009 0.4169 0.2811
O 0.7991 0.5831 0.7811
O 0.7991 0.9169 0.7811
O 0.8204 0.1382 0.7309
O 0.8204 0.3618 0.7309
O 0.8234 0.7500 0.0299
O 0.8790 0.5067 0.0875
O 0.8790 0.9933 0.0875
O 0.9206 0.2500 0.1175